Below is crystalline Sm2Be2GeO7 at its relaxed geometry, with properties calculated at the GGA-PBE level.

a b c (Å): 7.566 7.566 4.891
angles (deg): 90.00 90.00 90.00
Element x y z (fractional)
O (0.858, 0.642, 0.282)
O (0.327, 0.421, 0.791)
O (0.421, 0.673, 0.209)
O (0.079, 0.173, 0.791)
O (0.642, 0.142, 0.718)
O (0.579, 0.327, 0.209)
O (0.142, 0.358, 0.282)
O (0.921, 0.827, 0.791)
O (0.500, 0.000, 0.177)
O (0.673, 0.579, 0.791)
O (0.173, 0.921, 0.209)
O (0.358, 0.858, 0.718)
O (0.827, 0.079, 0.209)
O (0.000, 0.500, 0.823)
Be (0.134, 0.366, 0.957)
Be (0.866, 0.634, 0.957)
Be (0.634, 0.134, 0.043)
Be (0.366, 0.866, 0.043)
Sm (0.159, 0.659, 0.496)
Sm (0.841, 0.341, 0.496)
Sm (0.659, 0.841, 0.504)
Sm (0.341, 0.159, 0.504)
Ge (0.500, 0.500, 0.000)
Ge (0.000, 0.000, 0.000)

Properties
Maximum piezoelectric response, C/m²: 0.276
M_tot, μB per formula unit: 0.00
Space-group type: P-42_1m (113)
ΔH_f (0 K), eV per atom: -3.2595